# 1
This record from Materials Project describes a relaxed structure of Li3Fe4B4O12. The functional is PBE+U.

Results
- crystal system = triclinic
- space group = P1 (1)
- energy of formation (eV per atom) = -2.299

Cell and atoms, written as extended XYZ:
```
46
Lattice="5.2170 0.0000 0.0000 0.0325 9.1263 0.0000 2.5264 4.2903 10.2927" Properties=species:S:1:pos:R:3 pbc="T T T"
Li 0.0000 0.0000 0.0000
Li 0.7526 1.4070 2.6070
Li 3.4869 5.7853 7.7232
Li 2.6084 4.5449 0.0052
Li 3.3975 5.9622 2.6718
Li 5.2923 8.9190 5.3063
Fe 2.5849 7.3102 9.9913
Fe 0.8679 7.4422 2.3536
Fe 2.6398 10.5512 4.9297
Fe 3.4406 8.8693 7.4613
Fe 5.1869 11.8683 9.9375
Fe 3.3847 2.9248 2.2761
Fe 5.2507 5.8477 4.8962
Fe 6.0934 4.1842 7.3379
B 2.5720 10.3723 10.0050
B 0.8562 4.4492 2.2137
B 2.5991 7.5412 4.7579
B 3.5048 11.9544 7.4646
B 5.1425 5.7477 9.9856
B 3.4699 9.0307 2.1900
B 5.1901 2.8090 4.7937
B 6.0366 7.2920 7.4050
O 1.2273 7.5768 4.4864
O 2.1637 7.2551 7.8058
O 0.7496 7.2480 0.0497
O 3.2801 9.2317 9.6630
O 2.8126 4.0138 7.5186
O 2.9494 10.8200 6.8723
O 3.7763 5.7061 9.8268
O 2.2328 4.5524 2.0587
O 3.2200 8.7318 5.2184
O 2.7047 10.0956 2.6865
O 3.3556 6.4461 4.5499
O 2.7969 7.8568 1.7750
O 3.8574 2.7738 4.3938
O 4.7921 11.8550 8.0032
O 3.2656 2.6208 0.0805
O 5.8873 4.5723 9.7616
O 5.3865 8.4954 7.2687
O 5.3584 6.1003 7.1008
O 6.4101 10.3828 10.0336
O 4.8341 9.1071 2.0878
O 5.7647 3.9465 5.2642
O 5.3256 5.5545 2.6115
O 5.9556 10.7490 4.6668
O 5.4426 3.2346 1.9251
```


# 2
This record from Materials Project describes a relaxed structure of Li11Ni12O24. The functional is PBE+U.

Results
- crystal system = monoclinic
- space group = C2/m (12)
- energy of formation (eV per atom) = -1.441

Cell and atoms, written as extended XYZ:
```
47
Lattice="6.2691 -4.3699 0.0000 6.2691 4.3699 0.0000 -6.1388 0.0000 7.5755" Properties=species:S:1:pos:R:3 pbc="T T T"
Li 0.0000 0.0000 0.0000
Li 1.6426 1.4263 1.9234
Li 3.1997 2.8469 3.7878
Li -1.4815 0.0000 5.6838
Li 6.2691 1.4818 0.0000
Li 1.6426 -1.4263 1.9234
Li 4.7568 1.4263 5.6522
Li 6.2691 -1.4818 0.0000
Li 7.8809 0.0000 1.8918
Li 3.1997 -2.8469 3.7878
Li 4.7568 -1.4263 5.6522
Ni 3.9540 2.9221 0.9434
Ni -0.7365 0.0000 2.8188
Ni 0.8612 1.4555 4.7241
Ni 2.4453 2.9221 6.6322
Ni 3.9467 0.0000 0.9363
Ni 5.5381 1.4555 2.8514
Ni 0.8612 -1.4555 4.7241
Ni 2.4526 0.0000 6.6393
Ni 3.9540 -2.9221 0.9434
Ni 5.5381 -1.4555 2.8514
Ni 7.1359 0.0000 4.7568
Ni 2.4453 -2.9221 6.6322
O -0.9749 1.4725 4.1702
O -3.5689 0.0000 5.2290
O 0.6085 2.9261 6.1240
O -1.9629 1.4942 7.0961
O 2.0322 0.0000 0.3072
O 5.7908 2.9261 1.4515
O 3.7275 1.5670 2.2524
O 1.0592 0.0000 3.2851
O -0.9749 -1.4725 4.1702
O 2.6718 1.5670 5.3232
O 0.5325 0.0000 5.9992
O -1.9629 -1.4942 7.0961
O 8.3623 1.4942 0.4794
O 5.8669 0.0000 1.5763
O 3.7275 -1.5670 2.2524
O 7.3743 1.4725 3.4053
O 5.3402 0.0000 4.2904
O 2.6718 -1.5670 5.3232
O 0.6085 -2.9261 6.1240
O 4.3671 0.0000 7.2684
O 8.3623 -1.4942 0.4794
O 5.7908 -2.9261 1.4515
O 9.9683 0.0000 2.3465
O 7.3743 -1.4725 3.4053
```


# 3
This record from Materials Project describes a relaxed structure of Li2Ni3SbO8. The functional is PBE+U.

Results
- energy of formation (eV per atom) = -1.554

Cell and atoms, written as extended XYZ:
```
28
Lattice="-3.7250 3.2089 -3.2193 -3.9385 -2.7734 -3.5659 -5.0610 2.5611 8.4475" Properties=species:S:1:pos:R:3 pbc="T T T"
Li -4.8532 1.6810 -3.4287
Li -5.5187 1.3577 2.4053
Li -7.2059 1.6390 -0.7432
Li -7.8708 1.3150 5.0911
Ni -4.0578 3.0454 -0.3055
Ni -5.8006 -1.1687 -5.1749
Ni -2.1977 1.4410 1.3079
Ni -10.5270 1.5555 0.3545
Ni -8.6667 -0.0477 1.9673
Ni -6.2553 4.4892 1.0040
O -4.3082 1.5441 0.8678
O -8.7020 4.4304 3.4831
O -6.1012 -0.0129 -3.6664
O -8.4165 1.4529 0.7942
O -2.1950 0.1166 -0.0814
O -6.1360 -0.0027 -0.8738
O -3.7701 1.5197 -1.7983
O -10.5296 2.8796 1.7444
O -8.9538 1.4769 3.4610
O -6.6234 3.0099 5.3296
O -8.2880 1.8002 -2.3737
O -5.9538 3.3301 -0.5057
O -4.0225 -1.4336 -1.8210
O -6.7710 -0.3339 2.1671
O -6.5886 2.9992 2.5360
O -4.4367 1.1959 4.0356
Sb -8.5587 2.9419 2.1385
Sb -4.1659 0.0548 -0.4761
```


# 4
This record from Materials Project describes a relaxed structure of Na3V3O8. The functional is PBE+U.

Results
- crystal system = monoclinic
- space group = C2/m (12)
- energy of formation (eV per atom) = -2.367

Cell and atoms, written as extended XYZ:
```
28
Lattice="8.4135 -2.8129 0.0000 8.4135 2.8129 0.0000 -5.5928 0.0000 7.9687" Properties=species:S:1:pos:R:3 pbc="T T T"
Na -0.9614 0.0000 3.2982
Na 2.8414 0.0000 1.9896
Na 6.5814 0.0000 0.6710
Na 4.6528 0.0000 7.2977
Na 8.3928 0.0000 5.9790
Na 12.1957 0.0000 4.6705
V 0.0000 0.0000 0.0000
V -2.1909 0.0000 6.4050
V 2.2194 0.0000 5.5534
V 5.6171 0.0000 3.9843
V 9.0148 0.0000 2.4152
V 13.4251 0.0000 1.5636
O -3.6765 0.0000 7.3527
O 2.2923 1.4125 6.6018
O 5.0806 1.4002 2.6123
O 0.8516 0.0000 4.5818
O -0.8206 0.0000 7.3775
O 8.9419 1.4125 1.3669
O 6.1536 1.4002 5.3564
O 3.7135 0.0000 4.6104
O 7.5207 0.0000 3.3583
O 5.0806 -1.4002 2.6123
O 2.2923 -1.4125 6.6018
O 12.0548 0.0000 0.5911
O 10.3826 0.0000 3.3869
O 6.1536 -1.4002 5.3564
O 8.9419 -1.4125 1.3669
O 14.9107 0.0000 0.6160
```


| no. | total moment (μB per formula unit) |
| --- | --- |
| 1 | 17.00 |
| 2 | 11.00 |
| 3 | 3.00 |
| 4 | 0.00 |